VASP calculation (PBE with a Hubbard U) on a relaxed structure of Li2V5O10.

a = 5.156 Å, b = 5.189 Å, c = 15.180 Å
α = 95.68°, β = 98.31°, γ = 103.67°
Space group P1 (No. 1)
One atom of each set of equivalent atoms:
Li 0.000 0.000 0.000
Li 0.009 0.489 0.504
Li 0.091 0.016 0.604
Li 0.100 0.508 0.107
V 0.048 0.004 0.802
V 0.052 0.506 0.305
V 0.506 0.749 0.857
V 0.511 0.250 0.355
V 0.534 0.209 0.146
V 0.540 0.717 0.646
V 0.560 0.789 0.461
V 0.565 0.299 0.961
V 0.588 0.256 0.752
V 0.596 0.759 0.251
O 0.274 0.430 0.413
O 0.281 0.911 0.912
O 0.328 0.307 0.048
O 0.331 0.816 0.551
O 0.334 0.359 0.837
O 0.337 0.386 0.234
O 0.337 0.870 0.740
O 0.339 0.848 0.327
O 0.385 0.861 0.146
O 0.388 0.370 0.648
O 0.711 0.137 0.459
O 0.716 0.646 0.961
O 0.762 0.657 0.780
O 0.763 0.121 0.874
O 0.765 0.149 0.269
O 0.765 0.636 0.367
O 0.769 0.690 0.556
O 0.771 0.200 0.058
O 0.816 0.594 0.194
O 0.826 0.075 0.694

Properties
- distance to the lowest polymorph of the same formula (meV/atom) = 4
- size of the total moment (Bohr magnetons per cell) = 14.00
- V (Å³/f.u.) = 193.32
- ρ (g cm⁻³) = 3.681

=====

VASP calculation (PBE with a Hubbard U) on a relaxed structure of Mg2W3O8.

a = 11.143 Å, b = 5.825 Å, c = 4.912 Å
α = 90.00°, β = 108.22°, γ = 90.00°
Space group C2/m (No. 12)
One atom of each set of equivalent atoms:
Mg 0.218 0.000 0.165
W 0.000 0.269 0.500
W 0.000 0.500 0.000
O 0.095 0.000 0.401
O 0.121 0.261 0.908
O 0.137 0.500 0.439

Properties
- distance to the lowest polymorph of the same formula (meV/atom) = 185
- size of the total moment (Bohr magnetons per cell) = 0.00
- V (Å³/f.u.) = 151.42
- ρ (g cm⁻³) = 7.985

=====

VASP calculation (PBE with a Hubbard U) on a relaxed structure of V3Fe2NiP6O24.

a = 8.6374 Å, b = 8.6374 Å, c = 20.6038 Å
α = 90.00°, β = 90.00°, γ = 120.00°
Space group R3 (No. 146, hexagonal axes)
One atom of each set of equivalent atoms:
V 0.0000 0.0000 0.0000
V 0.0000 0.0000 0.2152
V 0.0000 0.0000 0.5023
Fe 0.0000 0.0000 0.3575
Fe 0.0000 0.0000 0.8553
Ni 0.0000 0.0000 0.7167
P 0.0008 0.2928 0.6099
P 0.0009 0.7084 0.1088
O 0.0008 0.1924 0.5467
O 0.0123 0.1796 0.2788
O 0.0148 0.8190 0.1696
O 0.0219 0.8309 0.7850
O 0.1326 0.4637 0.3380
O 0.1428 0.6676 0.7133
O 0.1689 0.4849 0.6012
O 0.1727 0.6912 0.1019

Properties
- size of the total moment (Bohr magnetons per cell) = 38.99
- V (Å³/f.u.) = 443.73
- ρ (g cm⁻³) = 3.342

=====

VASP calculation (PBE with a Hubbard U) on a relaxed structure of Cs2VS5O.

a = 7.653 Å, b = 10.673 Å, c = 14.167 Å
α = 90.00°, β = 110.75°, γ = 90.00°
Space group P2_1/c (No. 14)
One atom of each set of equivalent atoms:
Cs 0.004 0.028 0.262
Cs 0.467 0.238 0.579
V 0.255 0.696 0.618
S 0.045 0.725 0.965
S 0.142 0.004 0.048
S 0.239 0.596 0.051
S 0.425 0.238 0.816
S 0.490 0.054 0.796
O 0.168 0.720 0.709

Properties
- size of the total moment (Bohr magnetons per cell) = 0.00
- V (Å³/f.u.) = 270.53
- ρ (g cm⁻³) = 3.027

=====

VASP calculation (PBE with a Hubbard U) on a relaxed structure of V7O4.

a = 10.281 Å, b = 3.137 Å, c = 8.765 Å
α = 90.00°, β = 91.71°, γ = 90.00°
Space group C2/m (No. 12)
One atom of each set of equivalent atoms:
V 0.000 0.000 0.000
V 0.056 0.500 0.309
V 0.155 0.000 0.554
V 0.226 0.500 0.840
O 0.082 0.000 0.776
O 0.139 0.500 0.075

Properties
- size of the total moment (Bohr magnetons per cell) = 35.58
- V (Å³/f.u.) = 141.27
- ρ (g cm⁻³) = 4.944

=====

VASP calculation (PBE with a Hubbard U) on a relaxed structure of Sr2Ca2TiMn3O12.

a = 7.715 Å, b = 7.751 Å, c = 7.717 Å
α = 90.00°, β = 90.05°, γ = 90.00°
Space group Pm (No. 6)
One atom of each set of equivalent atoms:
Sr 0.000 0.000 0.000
Sr 0.000 0.500 0.000
Sr 0.493 0.000 0.000
Sr 0.493 0.500 0.508
Ca 0.001 0.000 0.508
Ca 0.001 0.500 0.508
Ca 0.492 0.000 0.508
Ca 0.492 0.500 0.999
Ti 0.747 0.250 0.256
Mn 0.247 0.250 0.255
Mn 0.247 0.250 0.753
Mn 0.747 0.250 0.753
O 0.000 0.250 0.258
O 0.244 0.247 0.504
O 0.246 0.500 0.753
O 0.247 0.000 0.261
O 0.247 0.000 0.747
O 0.247 0.500 0.254
O 0.250 0.253 0.004
O 0.493 0.250 0.255
O 0.496 0.250 0.753
O 0.745 0.252 0.000
O 0.747 0.000 0.258
O 0.747 0.000 0.746
O 0.747 0.500 0.255
O 0.747 0.500 0.753
O 0.748 0.248 0.507
O 0.997 0.250 0.747

Properties
- size of the total moment (Bohr magnetons per cell) = 18.47
- V (Å³/f.u.) = 230.71
- ρ (g cm⁻³) = 4.751

=====

VASP calculation (PBE with a Hubbard U) on a relaxed structure of Li3FePO5.

a = 5.522 Å, b = 15.909 Å, c = 4.981 Å
α = 90.00°, β = 90.00°, γ = 90.00°
Space group Pna2_1 (No. 33)
One atom of each set of equivalent atoms:
Li 0.159 0.093 0.000
Li 0.169 0.503 0.000
Li 0.170 0.696 0.986
Fe 0.169 0.295 0.008
P 0.165 0.902 0.993
O 0.100 0.098 0.595
O 0.169 0.690 0.595
O 0.169 0.905 0.678
O 0.190 0.479 0.601
O 0.205 0.318 0.584

Properties
- size of the total moment (Bohr magnetons per cell) = 16.00
- V (Å³/f.u.) = 109.39
- ρ (g cm⁻³) = 2.848
- maximum piezoelectric response (C/m2) = 0.80

=====

VASP calculation (PBE with a Hubbard U) on a relaxed structure of LiMn2P2O8F2.

a = 5.071 Å, b = 12.805 Å, c = 12.836 Å
α = 60.31°, β = 89.89°, γ = 89.89°
Space group P1 (No. 1)
One atom of each set of equivalent atoms:
Li 0.000 0.000 0.000
Li 0.012 0.007 0.262
Li 0.499 0.172 0.916
Li 0.514 0.404 0.168
Mn 0.014 0.020 0.716
Mn 0.021 0.711 0.525
Mn 0.460 0.931 0.161
Mn 0.479 0.646 0.956
Mn 0.519 0.142 0.461
Mn 0.519 0.455 0.650
Mn 0.957 0.226 0.020
Mn 0.972 0.516 0.222
P 0.012 0.257 0.756
P 0.016 0.245 0.270
P 0.456 0.411 0.917
P 0.467 0.416 0.411
P 0.513 0.921 0.903
P 0.516 0.899 0.426
P 0.960 0.748 0.260
P 0.976 0.743 0.771
O 0.044 0.666 0.209
O 0.063 0.875 0.712
O 0.070 0.693 0.388
O 0.107 0.871 0.176
O 0.147 0.661 0.881
O 0.162 0.379 0.931
O 0.174 0.427 0.367
O 0.306 0.284 0.762
O 0.312 0.249 0.293
O 0.346 0.001 0.793
O 0.355 0.787 0.507
O 0.410 0.960 0.294
O 0.437 0.788 0.969
O 0.454 0.970 0.991
O 0.477 0.991 0.468
O 0.494 0.464 0.497
O 0.528 0.485 0.979
O 0.548 0.479 0.786
O 0.553 0.283 0.474
O 0.606 0.290 0.989
O 0.632 0.494 0.295
O 0.668 0.776 0.247
O 0.682 0.729 0.813
O 0.815 0.943 0.872
O 0.817 0.866 0.427
O 0.855 0.372 0.683
O 0.863 0.162 0.384
O 0.898 0.375 0.205
O 0.901 0.185 0.889
O 0.960 0.174 0.703
O 0.973 0.191 0.185
O 0.992 0.700 0.680
F 0.204 0.101 0.567
F 0.208 0.557 0.608
F 0.245 0.113 0.059
F 0.276 0.544 0.118
F 0.712 0.047 0.627
F 0.720 0.621 0.559
F 0.760 0.039 0.114
F 0.772 0.604 0.065

Properties
- size of the total moment (Bohr magnetons per cell) = 28.00
- V (Å³/f.u.) = 181.03
- ρ (g cm⁻³) = 3.162

=====

VASP calculation (PBE with a Hubbard U) on a relaxed structure of Li5VF8.

a = 7.622 Å, b = 7.745 Å, c = 10.544 Å
α = 90.00°, β = 105.51°, γ = 90.00°
Space group P2_1/c (No. 14)
One atom of each set of equivalent atoms:
Li 0.024 0.183 0.045
Li 0.132 0.722 0.705
Li 0.212 0.073 0.803
Li 0.439 0.654 0.522
Li 0.447 0.165 0.247
V 0.276 0.019 0.492
F 0.012 0.037 0.879
F 0.027 0.109 0.405
F 0.156 0.691 0.885
F 0.239 0.181 0.639
F 0.319 0.697 0.124
F 0.332 0.231 0.400
F 0.451 0.540 0.369
F 0.459 0.564 0.889

Properties
- distance to the lowest polymorph of the same formula (meV/atom) = 44
- size of the total moment (Bohr magnetons per cell) = 8.00
- V (Å³/f.u.) = 149.93
- ρ (g cm⁻³) = 2.632

=====

VASP calculation (PBE with a Hubbard U) on a relaxed structure of LiVPO5.

a = 7.554 Å, b = 6.368 Å, c = 7.294 Å
α = 90.00°, β = 90.00°, γ = 90.00°
Space group Pnma (No. 62)
One atom of each set of equivalent atoms:
Li 0.000 0.000 0.000
V 0.171 0.250 0.281
P 0.126 0.750 0.376
O 0.044 0.250 0.510
O 0.113 0.750 0.846
O 0.129 0.556 0.247
O 0.207 0.250 0.001

Properties
- distance to the lowest polymorph of the same formula (meV/atom) = 0
- size of the total moment (Bohr magnetons per cell) = 3.99
- V (Å³/f.u.) = 87.72
- ρ (g cm⁻³) = 3.196

=====

Computed energy of formation, in the same sequence as the records: -2.452; -2.077; -2.469; -1.239; -0.888; -2.713; -2.439; -2.461; -3.107; -2.667 eV per atom.